A relaxed structure of Na3Al2P2O8F3, computed with GGA-PBE.

Values from the calculation:
As for the final energy: -232.0 eV per cell. Its distance to the lowest polymorph of the same formula is 7.4 meV/atom.

```
Na3Al2P2O8F3
1.0
-3.152 -6.464 -7.578
-3.978 -2.746 3.997
-4.483 4.089 -1.624
P Na Al F O
4 6 4 6 16
Direct
0.751 0.503 0.998
0.251 0.004 0.498
0.749 0.004 0.498
0.249 0.503 0.998
0.500 0.751 0.648
0.000 0.767 0.219
0.000 0.855 0.752
0.500 0.276 0.725
0.500 0.354 0.248
0.000 0.233 0.205
0.180 0.496 0.507
0.820 0.496 0.507
0.320 0.994 0.007
0.680 0.994 0.007
0.356 0.495 0.505
0.856 0.995 0.009
0.000 0.506 0.494
0.144 0.995 0.009
0.644 0.495 0.505
0.500 0.006 0.993
0.335 0.301 0.998
0.660 0.009 0.302
0.337 0.005 0.697
0.340 0.695 0.000
0.159 0.196 0.498
0.160 0.510 0.801
0.660 0.695 0.000
0.164 0.802 0.498
0.663 0.005 0.697
0.838 0.503 0.197
0.841 0.196 0.498
0.665 0.301 0.998
0.840 0.510 0.801
0.340 0.009 0.302
0.162 0.503 0.197
0.836 0.802 0.498
```